Entry 1:
The following is a PBE calculation of crystalline K4LiIO6 at its relaxed geometry, from Materials Project.

Properties
- energy of formation (eV/atom) = -1.656

a = 10.1354 Å, b = 11.4577 Å, c = 13.4823 Å
α = 90.00°, β = 90.00°, γ = 90.00°
With the nearest neighbours (Å) after each atom.
Positions (direct):
K 0.8828 0.4063 0.6910  4 O 2.75-2.97
K 0.8828 0.0937 0.1910  4 O 2.75-2.97
K 0.0643 0.5560 0.8907  5 O 2.64-2.86, 1 Li 2.95
K 0.9357 0.0560 0.6093  5 O 2.64-2.86, 1 Li 2.95
K 0.7936 0.8096 0.3099  4 O 2.54-2.79
K 0.8351 0.9778 0.9381  6 O 2.67-2.99
K 0.0643 0.9440 0.3907  5 O 2.64-2.86, 1 Li 2.95
K 0.5643 0.9440 0.1093  5 O 2.64-2.86, 1 Li 2.95
K 0.4357 0.0560 0.8907  5 O 2.64-2.86, 1 Li 2.95
K 0.3828 0.0937 0.3090  4 O 2.75-2.97
K 0.1649 0.0222 0.0619  6 O 2.67-2.99
K 0.2936 0.8096 0.1901  4 O 2.54-2.79
K 0.2064 0.1904 0.6901  4 O 2.54-2.79
K 0.2064 0.3096 0.1901  4 O 2.54-2.79
K 0.4357 0.4440 0.3907  5 O 2.64-2.86, 1 Li 2.95
K 0.1649 0.4778 0.5619  6 O 2.67-2.99
K 0.7064 0.3096 0.3099  4 O 2.54-2.79
K 0.5643 0.5560 0.6093  5 O 2.64-2.86, 1 Li 2.95
K 0.6172 0.5937 0.1910  4 O 2.75-2.97
K 0.3351 0.5222 0.0619  6 O 2.67-2.99
K 0.7064 0.1904 0.8099  4 O 2.54-2.79
K 0.7936 0.6904 0.8099  4 O 2.54-2.79
K 0.6649 0.0222 0.4381  6 O 2.67-2.99
K 0.1172 0.5937 0.3090  4 O 2.75-2.97
K 0.6172 0.9063 0.6910  4 O 2.75-2.97
K 0.9357 0.4440 0.1093  5 O 2.64-2.86, 1 Li 2.95
K 0.3351 0.9778 0.5619  6 O 2.67-2.99
K 0.2936 0.6904 0.6901  4 O 2.54-2.79
K 0.1172 0.9063 0.8090  4 O 2.75-2.97
K 0.3828 0.4063 0.8090  4 O 2.75-2.97
K 0.8351 0.5222 0.4381  6 O 2.67-2.99
K 0.6649 0.4778 0.9381  6 O 2.67-2.99
Li 0.8011 0.2521 0.5096  4 O 1.95-2.01
Li 0.1989 0.7479 0.4904  4 O 1.95-2.01
Li 0.1989 0.7521 0.9904  4 O 1.95-2.01
Li 0.8011 0.2479 0.0096  4 O 1.95-2.01
Li 0.6989 0.7521 0.5096  4 O 1.95-2.01
Li 0.3011 0.2521 0.9904  4 O 1.95-2.01
Li 0.6989 0.7479 0.0096  4 O 1.95-2.01
Li 0.3011 0.2479 0.4904  4 O 1.95-2.01
I 0.5456 0.2544 0.6015  6 O 1.91-1.95
I 0.0456 0.2456 0.3985  6 O 1.91-1.95
I 0.4544 0.7456 0.3985  6 O 1.91-1.95
I 0.5456 0.2456 0.1015  6 O 1.91-1.95
I 0.9544 0.7456 0.1015  6 O 1.91-1.95
I 0.0456 0.2544 0.8985  6 O 1.91-1.95
I 0.9544 0.7544 0.6015  6 O 1.91-1.95
I 0.4544 0.7544 0.8985  6 O 1.91-1.95
O 0.6134 0.6514 0.4054  1 I 1.94, 1 Li 2.01
O 0.7979 0.6584 0.6046  1 I 1.93, 1 Li 1.95
O 0.5291 0.6667 0.0082  1 I 1.94, 1 Li 1.96
O 0.0291 0.8333 0.9918  1 I 1.94, 1 Li 1.96
O 0.6393 0.1488 0.0062  1 I 1.95, 1 Li 1.99
O 0.4709 0.1667 0.4918  1 I 1.94, 1 Li 1.96
O 0.9709 0.3333 0.5082  1 I 1.94, 1 Li 1.96
O 0.7021 0.3416 0.1046  1 I 1.93, 1 Li 1.95
O 0.8866 0.3486 0.9054  1 I 1.94, 1 Li 2.01
O 0.1134 0.8486 0.5946  1 I 1.94, 1 Li 2.01
O 0.3903 0.8537 0.7949  1 I 1.92
O 0.3607 0.8512 0.9938  1 I 1.95, 1 Li 1.99
O 0.2021 0.1584 0.8954  1 I 1.93, 1 Li 1.95
O 0.5329 0.8498 0.3045  1 I 1.91
O 0.2979 0.6584 0.8954  1 I 1.93, 1 Li 1.95
O 0.6097 0.1463 0.2051  1 I 1.92
O 0.7021 0.1584 0.6046  1 I 1.93, 1 Li 1.95
O 0.8607 0.8512 0.5062  1 I 1.95, 1 Li 1.99
O 0.6097 0.3537 0.7051  1 I 1.92
O 0.6134 0.8486 0.9054  1 I 1.94, 1 Li 2.01
O 0.3866 0.1514 0.0946  1 I 1.94, 1 Li 2.01
O 0.4709 0.3333 0.9918  1 I 1.94, 1 Li 1.96
O 0.1097 0.3537 0.7949  1 I 1.92
O 0.7979 0.8416 0.1046  1 I 1.93, 1 Li 1.95
O 0.9671 0.3498 0.3045  1 I 1.91
O 0.8903 0.8537 0.7051  1 I 1.92
O 0.9671 0.1502 0.8045  1 I 1.91
O 0.8866 0.1514 0.4054  1 I 1.94, 1 Li 2.01
O 0.1393 0.3512 0.9938  1 I 1.95, 1 Li 1.99
O 0.8903 0.6463 0.2051  1 I 1.92
O 0.2979 0.8416 0.3954  1 I 1.93, 1 Li 1.95
O 0.0291 0.6667 0.4918  1 I 1.94, 1 Li 1.96
O 0.1097 0.1463 0.2949  1 I 1.92
O 0.5329 0.6502 0.8045  1 I 1.91
O 0.4671 0.3498 0.1955  1 I 1.91
O 0.0329 0.6502 0.6955  1 I 1.91
O 0.3866 0.3486 0.5946  1 I 1.94, 1 Li 2.01
O 0.9709 0.1667 0.0082  1 I 1.94, 1 Li 1.96
O 0.0329 0.8498 0.1955  1 I 1.91
O 0.4671 0.1502 0.6955  1 I 1.91
O 0.5291 0.8333 0.5082  1 I 1.94, 1 Li 1.96
O 0.2021 0.3416 0.3954  1 I 1.93, 1 Li 1.95
O 0.1393 0.1488 0.4938  1 I 1.95, 1 Li 1.99
O 0.8607 0.6488 0.0062  1 I 1.95, 1 Li 1.99
O 0.3607 0.6488 0.4938  1 I 1.95, 1 Li 1.99
O 0.1134 0.6514 0.0946  1 I 1.94, 1 Li 2.01
O 0.3903 0.6463 0.2949  1 I 1.92
O 0.6393 0.3512 0.5062  1 I 1.95, 1 Li 1.99



Entry 2:
The following is a PBE calculation of crystalline K2LiPrI6 at its relaxed geometry, from Materials Project.

Properties
- energy of formation (eV/atom) = -1.581

a = 8.5903 Å, b = 8.5903 Å, c = 8.5903 Å
α = 60.00°, β = 60.00°, γ = 60.00°
With the nearest neighbours (Å) after each atom.
Positions (direct):
K 0.7500 0.7500 0.7500  12 I 4.30
K 0.2500 0.2500 0.2500  12 I 4.30
Li 0.5000 0.5000 0.5000  6 I 2.96
Pr 0.0000 0.0000 0.0000  6 I 3.12
I 0.7434 0.2566 0.2566  1 Li 2.96, 1 Pr 3.12
I 0.2566 0.2566 0.7434  1 Li 2.96, 1 Pr 3.12
I 0.2566 0.7434 0.7434  1 Li 2.96, 1 Pr 3.12
I 0.2566 0.7434 0.2566  1 Li 2.96, 1 Pr 3.12
I 0.7434 0.2566 0.7434  1 Li 2.96, 1 Pr 3.12
I 0.7434 0.7434 0.2566  1 Li 2.96, 1 Pr 3.12



Entry 3:
The following is a PBE calculation of crystalline K2LiTaI6 at its relaxed geometry, from Materials Project.

Properties
- energy of formation (eV/atom) = -1.078

a = 8.2161 Å, b = 8.2161 Å, c = 8.2161 Å
α = 60.00°, β = 60.00°, γ = 60.00°
With the nearest neighbours (Å) after each atom.
Positions (direct):
K 0.2500 0.2500 0.2500  12 I 4.11
K 0.7500 0.7500 0.7500  12 I 4.11
Li 0.5000 0.5000 0.5000  6 I 2.97
Ta 0.0000 0.0000 0.0000  6 I 2.84
I 0.2443 0.2443 0.7557  1 Ta 2.84, 1 Li 2.97
I 0.2443 0.7557 0.7557  1 Ta 2.84, 1 Li 2.97
I 0.7557 0.7557 0.2443  1 Ta 2.84, 1 Li 2.97
I 0.2443 0.7557 0.2443  1 Ta 2.84, 1 Li 2.97
I 0.7557 0.2443 0.7557  1 Ta 2.84, 1 Li 2.97
I 0.7557 0.2443 0.2443  1 Ta 2.84, 1 Li 2.97



Entry 4:
The following is a PBE calculation of crystalline K2MnI4 at its relaxed geometry, from Materials Project.

Properties
- energy of formation (eV/atom) = -1.274

a = 8.0732 Å, b = 8.3615 Å, c = 9.8692 Å
α = 90.00°, β = 107.96°, γ = 90.00°
With the nearest neighbours (Å) after each atom.
Positions (direct):
K 0.2192 0.2500 0.5517  6 I 3.57-3.78
K 0.7808 0.7500 0.4483  6 I 3.57-3.78
K 0.2657 0.2500 0.0678  6 I 3.59-3.79
K 0.7343 0.7500 0.9322  6 I 3.59-3.79
Mn 0.7744 0.2500 0.6996  4 I 2.68-2.70
Mn 0.2256 0.7500 0.3004  4 I 2.68-2.70
I 0.5953 0.2500 0.4215  1 Mn 2.68
I 0.4047 0.7500 0.5785  1 Mn 2.68
I 0.0050 0.0019 0.2397  1 Mn 2.70
I 0.9950 0.9981 0.7603  1 Mn 2.70
I 0.9950 0.5019 0.7603  1 Mn 2.70
I 0.0050 0.4981 0.2397  1 Mn 2.70
I 0.5757 0.2500 0.8736  1 Mn 2.69
I 0.4243 0.7500 0.1264  1 Mn 2.69



Entry 5:
The following is a PBE calculation of crystalline K2NaMoI6 at its relaxed geometry, from Materials Project.

Properties
- energy of formation (eV/atom) = -1.071

a = 8.4076 Å, b = 8.4076 Å, c = 8.4076 Å
α = 60.00°, β = 60.00°, γ = 60.00°
With the nearest neighbours (Å) after each atom.
Positions (direct):
K 0.7500 0.7500 0.7500  12 I 4.21
K 0.2500 0.2500 0.2500  12 I 4.21
Na 0.5000 0.5000 0.5000  6 I 3.13
Mo 0.0000 0.0000 0.0000  6 I 2.81
I 0.7635 0.2365 0.2365  1 Mo 2.81, 1 Na 3.13
I 0.2365 0.2365 0.7635  1 Mo 2.81, 1 Na 3.13
I 0.2365 0.7635 0.7635  1 Mo 2.81, 1 Na 3.13
I 0.2365 0.7635 0.2365  1 Mo 2.81, 1 Na 3.13
I 0.7635 0.2365 0.7635  1 Mo 2.81, 1 Na 3.13
I 0.7635 0.7635 0.2365  1 Mo 2.81, 1 Na 3.13



Entry 6:
The following is a PBE calculation of crystalline K2NaNdI6 at its relaxed geometry, from Materials Project.

Properties
- energy of formation (eV/atom) = -1.586

a = 8.8035 Å, b = 8.8035 Å, c = 8.8035 Å
α = 60.00°, β = 60.00°, γ = 60.00°
With the nearest neighbours (Å) after each atom.
Positions (direct):
K 0.7500 0.7500 0.7500  12 I 4.40
K 0.2500 0.2500 0.2500  12 I 4.40
Na 0.5000 0.5000 0.5000  6 I 3.13
Nd 0.0000 0.0000 0.0000  6 I 3.10
I 0.7513 0.2487 0.2487  1 Nd 3.10, 1 Na 3.13
I 0.2487 0.2487 0.7513  1 Nd 3.10, 1 Na 3.13
I 0.2487 0.7513 0.7513  1 Nd 3.10, 1 Na 3.13
I 0.2487 0.7513 0.2487  1 Nd 3.10, 1 Na 3.13
I 0.7513 0.2487 0.7513  1 Nd 3.10, 1 Na 3.13
I 0.7513 0.7513 0.2487  1 Nd 3.10, 1 Na 3.13



no.,total energy after the MP2020 corrections (eV/atom)
1,-4.79
2,-3.39
3,-3.59
4,-3.77
5,-3.42
6,-3.33